# 1
Below is a relaxed TbVO2 crystal, with properties calculated at the PBE with a Hubbard U level.

Properties
formation energy: -2327 meV per atom
E_tot: -7.4624 eV per atom
spin magnetization: 10.85 Bohr magnetons per cell
excess energy over the best structure of this formula in the dataset: 195 meV/atom

Geometry as POSCAR:
```
TbVO2
1.0
-4.137 4.137 3.863
4.137 -4.137 3.863
4.137 4.137 -3.863
Tb V O
4 4 8
Direct
0.000 0.000 0.000
0.000 0.000 0.500
0.000 0.500 0.000
0.500 0.000 0.500
0.000 0.500 0.500
0.500 0.000 0.000
0.500 0.500 0.000
0.500 0.500 0.500
0.131 0.723 0.408
0.185 0.277 0.908
0.277 0.185 0.408
0.277 0.869 0.092
0.723 0.131 0.908
0.723 0.815 0.592
0.815 0.723 0.092
0.869 0.277 0.592
```

***

# 2
Below is a relaxed V4Zn3P6O24 crystal, with properties calculated at the PBE with a Hubbard U level.

Properties
formation energy: -2575 meV per atom
E_tot: -7.1171 eV per atom
spin magnetization: 8.00 Bohr magnetons per cell

Geometry as POSCAR:
```
V4Zn3P6O24
1.0
6.443 0.000 0.000
-1.538 7.840 0.000
-3.013 -3.214 8.426
V Zn P O
4 3 6 24
Direct
0.044 0.215 0.023
0.388 0.960 0.614
0.612 0.040 0.386
0.956 0.785 0.977
0.000 0.500 0.500
0.284 0.311 0.793
0.716 0.689 0.207
0.087 0.093 0.334
0.226 0.645 0.268
0.397 0.729 0.867
0.603 0.271 0.133
0.774 0.355 0.732
0.913 0.907 0.666
0.017 0.683 0.159
0.063 0.043 0.156
0.106 0.289 0.412
0.124 0.038 0.663
0.211 0.446 0.206
0.228 0.700 0.439
0.248 0.778 0.960
0.279 0.534 0.738
0.305 0.042 0.419
0.367 0.260 0.008
0.448 0.860 0.781
0.455 0.765 0.271
0.545 0.235 0.729
0.552 0.140 0.219
0.633 0.740 0.992
0.695 0.958 0.581
0.721 0.466 0.262
0.752 0.222 0.040
0.772 0.300 0.561
0.789 0.554 0.794
0.876 0.962 0.337
0.894 0.711 0.588
0.937 0.957 0.844
0.983 0.317 0.841
```

***

# 3
Below is a relaxed CoO crystal, with properties calculated at the PBE with a Hubbard U level.

Properties
formation energy: -883 meV per atom
E_tot: -5.7483 eV per atom
spin magnetization: 118.00 Bohr magnetons per cell

Geometry as POSCAR:
```
CoO
1.0
10.049 0.000 0.000
-1.069 10.117 0.000
-1.082 -0.941 10.271
Co O
40 40
Direct
0.000 0.000 0.000
0.003 0.206 0.181
0.024 0.658 0.810
0.032 0.933 0.680
0.084 0.503 0.085
0.167 0.730 0.586
0.178 0.937 0.191
0.186 0.448 0.407
0.245 0.366 0.963
0.247 0.761 0.907
0.251 0.062 0.908
0.269 0.952 0.487
0.289 0.685 0.288
0.318 0.470 0.670
0.345 0.193 0.460
0.357 0.160 0.157
0.415 0.604 0.028
0.475 0.430 0.273
0.479 0.902 0.071
0.489 0.785 0.784
0.503 0.337 0.890
0.509 0.648 0.502
0.513 0.096 0.676
0.586 0.111 0.330
0.607 0.788 0.269
0.635 0.500 0.713
0.678 0.605 0.034
0.689 0.251 0.128
0.721 0.596 0.357
0.726 0.250 0.637
0.732 0.047 0.893
0.739 0.945 0.496
0.802 0.944 0.149
0.806 0.719 0.862
0.838 0.390 0.903
0.883 0.411 0.310
0.937 0.179 0.488
0.955 0.514 0.583
0.966 0.727 0.273
0.989 0.226 0.780
0.040 0.362 0.942
0.059 0.398 0.230
0.066 0.062 0.830
0.110 0.646 0.200
0.133 0.617 0.952
0.147 0.122 0.106
0.151 0.540 0.585
0.194 0.786 0.415
0.259 0.332 0.525
0.281 0.919 0.024
0.290 0.796 0.746
0.299 0.033 0.328
0.324 0.082 0.619
0.350 0.464 0.124
0.366 0.222 0.967
0.366 0.468 0.859
0.372 0.548 0.387
0.428 0.750 0.182
0.460 0.252 0.327
0.496 0.611 0.676
0.542 0.092 0.134
0.544 0.737 0.967
0.563 0.317 0.710
0.567 0.968 0.792
0.630 0.097 0.526
0.657 0.752 0.461
0.682 0.408 0.999
0.682 0.414 0.272
0.705 0.964 0.303
0.759 0.700 0.196
0.798 0.207 0.811
0.822 0.124 0.072
0.824 0.548 0.784
0.826 0.888 0.939
0.889 0.224 0.323
0.911 0.588 0.409
0.916 0.325 0.618
0.923 0.015 0.558
0.986 0.894 0.184
0.989 0.744 0.661
```

***

# 4
Below is a relaxed Li2CoCO4 crystal, with properties calculated at the PBE with a Hubbard U level.

Properties
formation energy: -1919 meV per atom
E_tot: -6.3639 eV per atom
spin magnetization: 12.00 Bohr magnetons per cell

Geometry as POSCAR:
```
Li2CoCO4
1.0
6.699 0.000 0.000
0.000 5.094 0.000
-1.285 0.000 10.739
Li Co C O
8 4 4 16
Direct
0.117 0.153 0.289
0.117 0.347 0.789
0.228 0.179 0.571
0.228 0.321 0.071
0.772 0.679 0.929
0.772 0.821 0.429
0.883 0.653 0.211
0.883 0.847 0.711
0.488 0.634 0.660
0.488 0.866 0.160
0.512 0.134 0.840
0.512 0.366 0.340
0.192 0.680 0.438
0.192 0.820 0.938
0.808 0.180 0.062
0.808 0.320 0.562
0.060 0.701 0.859
0.060 0.799 0.359
0.228 0.071 0.926
0.228 0.429 0.426
0.287 0.688 0.030
0.287 0.812 0.530
0.360 0.162 0.215
0.360 0.338 0.715
0.640 0.662 0.285
0.640 0.838 0.785
0.713 0.188 0.470
0.713 0.312 0.970
0.772 0.571 0.574
0.772 0.929 0.074
0.940 0.201 0.641
0.940 0.299 0.141
```

***

Number 4 is which compound? Li2CoCO4